Density functional theory data (PBE-GGA) for crystalline La3MnFeS7 at its relaxed geometry.

Properties
Its space group is P6_3 (173).

a = 10.2579 Å, b = 10.2579 Å, c = 6.0396 Å
α = 90.00°, β = 90.00°, γ = 120.00°
Fractional positions:
La1 0.6240 0.8595 0.7408
La2 0.1405 0.7644 0.7408
La3 0.2356 0.3760 0.7408
La4 0.7644 0.6240 0.2408
La5 0.8595 0.2356 0.2408
La6 0.3760 0.1405 0.2408
Fe1 0.3333 0.6667 0.1556
Fe2 0.6667 0.3333 0.6556
S1 0.5178 0.4171 0.5141
S2 0.1460 0.2342 0.2790
S3 0.4822 0.5829 0.0141
S4 0.6667 0.3333 0.0261
S5 0.3333 0.6667 0.5261
S6 0.5829 0.1007 0.5141
S7 0.4171 0.8993 0.0141
S8 0.1007 0.5178 0.0141
S9 0.8540 0.7658 0.7790
S10 0.2342 0.0882 0.7790
S11 0.0882 0.8540 0.2790
S12 0.8993 0.4822 0.5141
S13 0.7658 0.9118 0.2790
S14 0.9118 0.1460 0.7790
Mn1 0.0000 0.0000 0.5168
Mn2 0.0000 0.0000 0.0168


Density functional theory data (PBE-GGA) for crystalline V2OsW at its relaxed geometry.

Properties
Its space group is Fm-3m (225).

a = 4.3149 Å, b = 4.3149 Å, c = 4.3149 Å
α = 60.00°, β = 60.00°, γ = 60.00°
Fractional positions:
V1 0.7500 0.7500 0.7500
V2 0.2500 0.2500 0.2500
W1 0.0000 0.0000 0.0000
Os1 0.5000 0.5000 0.5000


Density functional theory data (PBE-GGA) for crystalline Sm2Si3Ir3 at its relaxed geometry.

Properties
Its space group is P4/mmm (123).

a = 2.8064 Å, b = 2.8064 Å, c = 20.5076 Å
α = 90.00°, β = 90.00°, γ = 90.00°
Fractional positions:
Si1 0.5000 0.5000 0.0000
Si2 0.5000 0.5000 0.6121
Si3 0.5000 0.5000 0.3879
Ir1 0.5000 0.5000 0.5000
Ir2 0.5000 0.5000 0.1098
Ir3 0.5000 0.5000 0.8902
Sm1 0.5000 0.5000 0.7585
Sm2 0.5000 0.5000 0.2415


Density functional theory data (PBE-GGA) for crystalline TeMoS at its relaxed geometry.

Properties
Its space group is P3m1 (156).

a = 3.3618 Å, b = 3.3618 Å, c = 39.7300 Å
α = 90.00°, β = 90.00°, γ = 120.00°
Fractional positions:
S1 0.6667 0.3333 0.1321
S2 0.3333 0.6667 0.2436
S3 0.6667 0.3333 0.0558
S4 0.3333 0.6667 0.3198
Mo1 0.3333 0.6667 0.4679
Mo2 0.3333 0.6667 0.0940
Mo3 0.6667 0.3333 0.2817
Mo4 0.6667 0.3333 0.6594
Te1 0.6667 0.3333 0.5154
Te2 0.6667 0.3333 0.4204
Te3 0.3333 0.6667 0.7068
Te4 0.3333 0.6667 0.6119


Density functional theory data (PBE-GGA) for crystalline La2PbF8 at its relaxed geometry.

Properties
Its space group is P1 (1).

a = 4.1218 Å, b = 5.9809 Å, c = 7.5586 Å
α = 112.94°, β = 105.82°, γ = 89.60°
Fractional positions:
F1 0.8705 0.1734 0.7397
F2 0.5974 0.0508 0.3363
F3 0.8018 0.5639 0.6302
F4 0.0517 0.6665 0.1456
F5 0.2508 0.8755 0.5371
F6 0.4965 0.2839 0.0181
F7 0.4503 0.7181 0.9176
F8 0.1417 0.3797 0.3477
Pb1 0.0252 0.9901 0.0115
La1 0.6435 0.6514 0.3257
La2 0.3319 0.3162 0.6571


Density functional theory data (PBE-GGA) for crystalline Na2La4Ta4Si5S7O48 at its relaxed geometry.

Properties
Its space group is P1 (1).

a = 18.3819 Å, b = 9.2116 Å, c = 23.8977 Å
α = 89.93°, β = 90.03°, γ = 120.24°
Fractional positions:
O1 0.0700 0.6334 0.0712
O2 0.9482 0.3784 0.6327
O3 0.5909 0.9903 0.6057
O4 0.5711 0.5081 0.5703
O5 0.2747 0.8476 0.4690
O6 0.1015 0.9836 0.5847
O7 0.8387 0.5596 0.5311
O8 0.7635 0.6619 0.8677
O9 0.4002 0.9517 0.4090
O10 0.1903 0.8634 0.5729
O11 0.6022 0.9970 0.1964
O12 0.9104 0.2978 0.2341
O13 0.4054 0.0554 0.7933
O14 0.5765 0.6337 0.0760
O15 0.1678 0.4743 0.3711
O16 0.2801 0.8801 0.7364
O17 0.6924 0.5182 0.0745
O18 0.3601 0.5261 0.2475
O19 0.6210 0.1805 0.8048
O20 0.5054 0.7910 0.0872
O21 0.9723 0.1868 0.2969
O22 0.3105 0.4903 0.6375
O23 0.8558 0.5287 0.2312
O24 0.4408 0.5434 0.0318
O25 0.1232 0.0642 0.3049
O26 0.7129 0.1427 0.5311
O27 0.4724 0.1435 0.3056
O28 0.6035 0.2197 0.0860
O29 0.3975 0.2901 0.2389
O30 0.3871 0.9826 0.0940
O31 0.3910 0.7856 0.2025
O32 0.7609 0.1433 0.6357
O33 0.0049 0.2167 0.5858
O34 0.9886 0.1721 0.1964
O35 0.4144 0.0168 0.6938
O36 0.4202 0.7863 0.3029
O37 0.8865 0.8008 0.5886
O38 0.4448 0.5477 0.4190
O39 0.7268 0.3249 0.0300
O40 0.4055 0.8203 0.6080
O41 0.0765 0.5170 0.5757
O42 0.4894 0.8070 0.6956
O43 0.7429 0.3686 0.1313
O44 0.0209 0.8461 0.4279
O45 0.0832 0.2245 0.4277
O46 0.0621 0.4399 0.2420
O47 0.6777 0.8503 0.5735
O48 0.0799 0.0091 0.1981
O49 0.4474 0.5134 0.1327
O50 0.2570 0.6778 0.9731
O51 0.7545 0.8295 0.4734
O52 0.2762 0.6549 0.2679
O53 0.8562 0.1934 0.7443
O54 0.2470 0.6469 0.5710
O55 0.6599 0.4589 0.7410
O56 0.7471 0.8464 0.0719
O57 0.6674 0.4642 0.3658
O58 0.0692 0.9455 0.9058
O59 0.1525 0.8229 0.9732
O60 0.7383 0.2889 0.7273
O61 0.0737 0.4486 0.9703
O62 0.6422 0.4381 0.4666
O63 0.5051 0.1900 0.6034
O64 0.5811 0.1522 0.6971
O65 0.2332 0.1365 0.9189
O66 0.8602 0.1467 0.0337
O67 0.9254 0.4895 0.1357
O68 0.2123 0.2777 0.0342
O69 0.9941 0.7930 0.6944
O70 0.0980 0.1438 0.8063
O71 0.0914 0.1976 0.1071
O72 0.5883 0.4985 0.9759
O73 0.3939 0.8416 0.9298
O74 0.7789 0.6748 0.2395
O75 0.2384 0.8631 0.0787
O76 0.5572 0.4586 0.2674
O77 0.6678 0.8612 0.8710
O78 0.7475 0.2187 0.2396
O79 0.8094 0.5167 0.6310
O80 0.3598 0.5743 0.5331
O81 0.1684 0.4897 0.4734
O82 0.1794 0.5140 0.0706
O83 0.7720 0.6982 0.9696
O84 0.4741 0.7610 0.7963
O85 0.7694 0.8509 0.3720
O86 0.6807 0.9026 0.2701
O87 0.9263 0.5763 0.0304
O88 0.2472 0.2766 0.7378
O89 0.9415 0.3361 0.9175
O90 0.2366 0.3582 0.4250
O91 0.0722 0.4726 0.8684
O92 0.3554 0.1812 0.7286
O93 0.4289 0.2816 0.5288
O94 0.0235 0.1979 0.9098
O95 0.5681 0.4612 0.8638
O96 0.8158 0.1007 0.4254
O97 0.5833 0.9412 0.9275
O98 0.8961 0.5082 0.7383
O99 0.5704 0.1915 0.4059
O100 0.5629 0.6865 0.7413
O101 0.7379 0.6237 0.5712
O102 0.0654 0.6683 0.3635
O103 0.5222 0.1962 0.9284
O104 0.4970 0.1973 0.1951
O105 0.8106 0.1303 0.1381
O106 0.7367 0.1159 0.9246
O107 0.1722 0.8586 0.8618
O108 0.9058 0.9916 0.1087
O109 0.2255 0.1262 0.5292
O110 0.2649 0.8667 0.3673
O111 0.2410 0.1121 0.6304
O112 0.2613 0.3840 0.1364
O113 0.9123 0.8114 0.1950
O114 0.8979 0.8470 0.9109
O115 0.3226 0.5383 0.9253
O116 0.7705 0.8962 0.7625
O117 0.9735 0.8003 0.8058
O118 0.9055 0.7565 0.2950
O119 0.2719 0.6844 0.8709
O120 0.0867 0.6746 0.4755
O121 0.8925 0.9503 0.4305
O122 0.5964 0.0520 0.3057
O123 0.0545 0.6448 0.7624
O124 0.5776 0.6992 0.4711
O125 0.5754 0.6707 0.3699
O126 0.9134 0.0538 0.8003
O127 0.4307 0.3528 0.9235
O128 0.5277 0.8503 0.4104
O129 0.8879 0.9978 0.6993
O130 0.1595 0.8609 0.2417
O131 0.6687 0.8477 0.9736
O132 0.9404 0.3377 0.5319
O133 0.3147 0.1240 0.1335
O134 0.9276 0.5073 0.4228
O135 0.4266 0.3656 0.6348
O136 0.3324 0.1202 0.4216
O137 0.8291 0.5409 0.9223
O138 0.1839 0.4631 0.7689
O139 0.2397 0.1884 0.2264
O140 0.0047 0.8220 0.1041
O141 0.7208 0.3210 0.4194
O142 0.3416 0.1250 0.0340
O143 0.1030 0.2078 0.6961
O144 0.4114 0.5254 0.7336
S1 0.4880 0.7029 0.7426
S2 0.8205 0.6242 0.5818
S3 0.9906 0.3597 0.5822
S4 0.8163 0.6862 0.9163
S5 0.5317 0.6932 0.4159
S6 0.3631 0.0294 0.7386
S7 0.3176 0.9479 0.4160
S8 0.6914 0.3545 0.0804
S9 0.4908 0.6190 0.0816
S10 0.8569 0.0252 0.7523
S11 0.6530 0.3618 0.4152
S12 0.1639 0.3851 0.4221
S13 0.3206 0.0231 0.0843
S14 0.0291 0.3656 0.9151
S15 0.8089 0.9340 0.4240
S16 0.1898 0.0265 0.5801
S17 0.3606 0.6907 0.2544
S18 0.6638 0.9430 0.9218
S19 0.3108 0.6853 0.9235
S20 0.9867 0.2733 0.2428
S21 0.8633 0.6961 0.2400
La1 0.3470 0.3570 0.4873
La2 0.0086 0.9869 0.3545
La3 0.5057 0.0286 0.8553
La4 0.6729 0.6714 0.2988
La5 0.8484 0.3384 0.9868
La6 0.1548 0.6750 0.3025
La7 0.1725 0.6798 0.7999
La8 0.5039 0.0027 0.1484
La9 0.8256 0.3247 0.4823
La10 0.6545 0.6339 0.8025
La11 0.0039 0.0046 0.6502
La12 0.3216 0.3220 0.9808
Ta1 0.0052 0.0031 0.1416
Ta2 0.0106 0.9913 0.8532
Ta3 0.8313 0.3263 0.6880
Ta4 0.5035 0.0148 0.3485
Ta5 0.1564 0.6585 0.0225
Ta6 0.1720 0.6734 0.5210
Ta7 0.6731 0.6709 0.0201
Ta8 0.3305 0.3285 0.1824
Ta9 0.6581 0.6736 0.5277
Ta10 0.8317 0.3210 0.1791
Ta11 0.3327 0.3456 0.6808
Ta12 0.5038 0.0091 0.6421
Si1 0.1865 0.3463 0.0863
Si2 0.8321 0.0263 0.0869
Si3 0.6458 0.2739 0.7449
Si4 0.6865 0.0399 0.5877
Si5 0.6575 0.0389 0.2513
Si6 0.9811 0.6317 0.0858
Si7 0.9852 0.6929 0.7506
Si8 0.4800 0.3310 0.5858
Si9 0.4840 0.2791 0.2495
Si10 0.1468 0.0197 0.2443
Si11 0.1573 0.2785 0.7519
Si12 0.5232 0.3746 0.9225
Si13 0.0224 0.6702 0.4223
Si14 0.3320 0.6367 0.5868
Si15 0.1614 0.9423 0.9161
Na1 0.4977 0.0084 0.9947
Na2 0.8465 0.3552 0.3334
Na3 0.3298 0.3257 0.3280
Na4 0.8328 0.3369 0.8335
Na5 0.0015 0.9885 0.4964
Na6 0.3313 0.3092 0.8443


Density functional theory data (PBE-GGA) for crystalline Te2MoWS2 at its relaxed geometry.

Properties
Its space group is P3m1 (156). The value obtained for the energy above the most stable polymorph in this dataset is 0.0387 eV per atom.

a = 3.3600 Å, b = 3.3600 Å, c = 38.4410 Å
α = 90.00°, β = 90.00°, γ = 120.00°
Fractional positions:
W1 0.3333 0.6667 0.2818
W2 0.0000 0.0000 0.4696
S1 0.0000 0.0000 0.3212
S2 0.3333 0.6667 0.0545
S3 0.3333 0.6667 0.1333
S4 0.0000 0.0000 0.2423
Te1 0.0000 0.0000 0.7066
Te2 0.3333 0.6667 0.4202
Te3 0.3333 0.6667 0.5189
Te4 0.0000 0.0000 0.6086
Mo1 0.3333 0.6667 0.6576
Mo2 0.0000 0.0000 0.0939


Density functional theory data (PBE-GGA) for crystalline Ce2Fe14C at its relaxed geometry.

Properties
Its space group is P4_2/mnm (136).

a = 8.7539 Å, b = 8.7539 Å, c = 11.7833 Å
α = 90.00°, β = 90.00°, γ = 90.00°
Fractional positions:
Fe1 0.0000 0.0000 0.1073
Fe2 0.9021 0.9021 0.2943
Fe3 0.0000 0.5000 0.0000
Fe4 0.2754 0.0650 0.1201
Fe5 0.9350 0.7246 0.1201
Fe6 0.4021 0.5979 0.2057
Fe7 0.6827 0.6827 0.2551
Fe8 0.5650 0.2246 0.3799
Fe9 0.5000 0.0000 0.5000
Fe10 0.9350 0.7246 0.8799
Fe11 0.0373 0.3587 0.3237
Fe12 0.9627 0.6413 0.6763
Fe13 0.3587 0.0373 0.6763
Fe14 0.5373 0.1413 0.1763
Fe15 0.6827 0.6827 0.7449
Fe16 0.0000 0.0000 0.8927
Fe17 0.6413 0.9627 0.3237
Fe18 0.0373 0.3587 0.6763
Fe19 0.4627 0.8587 0.1763
Fe20 0.1827 0.8173 0.2449
Fe21 0.5650 0.2246 0.6201
Fe22 0.5979 0.4021 0.2057
Fe23 0.5000 0.0000 0.0000
Fe24 0.7754 0.4350 0.3799
Fe25 0.2246 0.5650 0.3799
Fe26 0.0000 0.5000 0.5000
Fe27 0.9021 0.9021 0.7057
Fe28 0.3173 0.3173 0.2551
Fe29 0.5373 0.1413 0.8237
Fe30 0.3587 0.0373 0.3237
Fe31 0.7754 0.4350 0.6201
Fe32 0.0979 0.0979 0.2943
Fe33 0.6413 0.9627 0.6763
Fe34 0.8587 0.4627 0.1763
Fe35 0.8173 0.1827 0.7551
Fe36 0.7246 0.9350 0.8799
Fe37 0.0650 0.2754 0.8799
Fe38 0.1827 0.8173 0.7551
Fe39 0.5000 0.5000 0.3927
Fe40 0.3173 0.3173 0.7449
Fe41 0.4627 0.8587 0.8237
Fe42 0.1413 0.5373 0.1763
Fe43 0.4021 0.5979 0.7943
Fe44 0.2246 0.5650 0.6201
Fe45 0.8587 0.4627 0.8237
Fe46 0.5979 0.4021 0.7943
Fe47 0.5000 0.5000 0.6073
Fe48 0.9627 0.6413 0.3237
Fe49 0.1413 0.5373 0.8237
Fe50 0.0650 0.2754 0.1201
Fe51 0.4350 0.7754 0.3799
Fe52 0.8173 0.1827 0.2449
Fe53 0.7246 0.9350 0.1201
Fe54 0.2754 0.0650 0.8799
Fe55 0.4350 0.7754 0.6201
Fe56 0.0979 0.0979 0.7057
Ce1 0.7396 0.7396 0.5000
Ce2 0.3564 0.3564 0.0000
Ce3 0.1436 0.8564 0.5000
Ce4 0.6436 0.6436 0.0000
Ce5 0.7604 0.2396 0.0000
Ce6 0.2396 0.7604 0.0000
Ce7 0.2604 0.2604 0.5000
Ce8 0.8564 0.1436 0.5000
C1 0.6248 0.3752 0.5000
C2 0.8752 0.8752 0.0000
C3 0.3752 0.6248 0.5000
C4 0.1248 0.1248 0.0000


Number 1: total DFT energy (no corrections) -6.64 eV per atom, DFT formation energy -1.82 eV per atom. Number 2: total DFT energy (no corrections) -10.84 eV per atom, DFT formation energy -0.25 eV per atom. Number 3: total DFT energy (no corrections) -5.83 eV per atom, DFT formation energy 0.70 eV per atom. Number 4: total DFT energy (no corrections) -6.53 eV per atom, DFT formation energy -0.66 eV per atom. Number 5: total DFT energy (no corrections) -6.26 eV per atom, DFT formation energy -3.97 eV per atom. Number 6: total DFT energy (no corrections) -7.47 eV per atom, DFT formation energy -2.75 eV per atom. Number 7: total DFT energy (no corrections) -6.82 eV per atom, DFT formation energy -0.59 eV per atom. Number 8: total DFT energy (no corrections) -8.25 eV per atom, DFT formation energy -0.03 eV per atom.